Entry 1:
This record from Materials Project describes crystalline Na3PrP2O8 at its relaxed geometry. The functional is GGA-PBE.

Output
V: 12.86 Å³/atom
M_tot: 0.00 μB/f.u.
DFT formation energy: -2.935 eV/atom
Density: 3.69 g/cm3

The structure in POSCAR format:
```
Na3PrP2O8
1.0
-2.0258 2.4036 -4.4027
9.8441 -6.2488 -7.9410
-11.5268 -14.7003 -2.7215
P Pr Na O
16 8 24 64
Cartesian
6.1031 -8.2763 -10.4829
-1.0972 -1.5695 -6.9100
-0.4344 -10.2663 -5.6113
2.1091 -9.5583 -9.2508
-7.2687 -8.6606 -7.9415
-1.7632 -20.4314 -10.5493
5.7964 -7.0331 -6.5958
-4.1183 -16.6139 -10.2372
-2.9723 -6.2449 -5.6266
1.0791 -5.0310 -6.7338
-8.5853 -15.0527 -10.7080
-9.2133 -9.5062 -4.4411
-7.2565 -4.8876 -5.7700
-9.1997 -13.3005 -6.6130
-0.3751 -14.1241 -7.6273
-4.1893 -12.7515 -8.1901
-5.0876 -13.3948 -11.1519
-1.4982 -11.0833 -9.0586
0.1744 -6.6870 -4.1978
-6.1925 -8.2292 -4.5930
1.8282 -2.3119 -5.0531
6.5225 -5.1660 -9.5188
-8.2684 -12.3364 -3.3971
3.3552 -7.7455 -11.9525
-1.7359 -3.4063 -4.5515
-2.4472 -5.6695 -2.0289
3.2880 -6.6515 -8.3006
-1.8033 -17.8028 -12.4769
-6.0040 -14.4203 -5.1697
-0.3248 -7.7327 -7.6596
-0.4661 -0.2490 -3.2603
-1.5441 -14.5928 -10.4126
4.4653 -3.3845 -7.2106
-11.3113 -13.5862 -8.7518
-3.0414 -12.3224 -5.4042
-6.5644 -14.8693 -8.1566
-5.0860 -4.7992 -3.3394
0.4855 -6.4336 -10.3229
-4.4290 -19.0363 -8.4622
-4.8843 -6.6572 -7.9263
-1.2571 -2.4464 -0.8336
1.6857 -3.2225 -9.1055
1.9979 -12.1073 -7.6368
1.3626 -12.4236 -10.7177
-3.0713 -15.1844 -13.4637
-3.5687 -9.2881 -6.7674
-0.0985 -13.0985 -13.6761
-6.5680 -11.3475 -6.6634
-8.0770 -10.3310 -5.1125
-1.6830 -6.6260 -9.4626
0.9308 -10.5764 -9.3448
-1.1184 -9.8921 -6.9714
-1.6341 1.4622 -4.5045
-1.6063 -6.9855 -5.7729
3.0079 -9.9887 -8.0362
-4.8523 -17.9140 -10.6896
-1.4097 -8.9944 -10.2463
-9.7369 -12.8330 -5.2241
-6.3828 -10.2418 -2.8763
4.1821 -4.2134 -9.5535
-3.3513 -11.1231 -10.9555
-4.7097 -7.7945 -2.7506
-6.7950 -5.8724 -4.6408
-0.4607 -1.5032 -5.4954
-5.1958 -15.5053 -10.0227
-3.5800 -11.4034 -7.7038
-3.0802 -16.1356 -11.2736
4.9592 -5.3898 -11.6495
-4.6975 -10.2598 -4.7579
-5.5748 -12.4862 -8.8537
-9.6237 -12.2646 -7.7155
-3.4066 -16.9255 -8.8716
-7.9437 -16.7502 -6.1517
1.6177 -8.1091 -9.0534
-2.5096 -1.0742 -2.5573
-3.2091 -5.3278 -6.8801
-4.6438 -17.9501 -13.6474
0.4824 -2.5393 -2.9265
0.1267 -16.5354 -11.1303
2.2918 -4.0555 -6.7900
-2.5711 -17.0709 -14.7562
4.9115 -7.5220 -9.8246
1.9277 -4.5085 -3.5703
-3.3892 -3.3256 -1.7693
3.0680 -13.4495 -9.3466
-6.0998 -8.9322 -6.9564
4.5734 -7.9935 -6.5373
-0.9548 -15.4929 -8.0877
-8.2950 -15.9289 -9.4408
-3.2370 -13.3581 -9.2613
5.4142 -5.7581 -7.3951
-0.9978 -11.9340 -11.3849
-0.2249 -13.1872 -8.8561
-2.3325 -2.5154 -6.8781
-9.8847 -14.6587 -6.9589
-3.5188 -8.3500 -8.9941
-7.8607 -10.0148 -8.4285
0.4294 -5.1408 -8.1379
-2.9639 -5.3886 -4.3431
-4.5959 -5.8854 -1.1256
-7.6619 -13.4151 -6.5633
1.5670 -6.4410 -6.2823
-4.3757 -13.7080 -6.9835
0.0715 -4.4949 -5.6758
2.9348 -9.6578 -10.5716
1.2214 -14.3847 -11.9365
-5.4840 -16.3303 -6.4192
-4.1016 -7.3211 -5.6140
-2.6183 -19.9486 -11.7714
4.9527 -3.6374 -4.8571
-0.5571 -15.5232 -13.3521
-4.1345 -2.3919 -4.0056
```

Entry 2:
This record from Materials Project describes crystalline NaAl3P2H4O12 at its relaxed geometry. The functional is GGA-PBE.

Output
V: 9.38 Å³/atom
M_tot: 0.00 μB/f.u.
DFT formation energy: -2.602 eV/atom
Density: 2.91 g/cm3

The structure in POSCAR format:
```
NaAl3P2H4O12
1.0
-3.7182 8.7111 3.8815
0.6639 -2.6678 6.6233
10.5656 3.6246 1.9864
O H Al P Na
48 16 12 8 4
Cartesian
6.4305 9.2806 5.8864
0.7897 7.6325 6.3388
7.5481 3.6609 2.0590
8.6593 7.1441 7.1427
1.7799 5.5294 4.9452
-1.8742 4.4373 9.2702
-0.4710 8.2507 3.9681
5.8855 6.9844 7.5019
0.3297 -0.9383 3.8060
6.1244 8.9750 10.5690
4.4407 2.0956 5.5420
-0.5273 1.4322 4.0226
0.6781 -1.9369 6.4323
0.1198 3.6616 3.2451
0.9836 3.6164 9.3671
6.0421 3.6275 6.8618
5.3594 1.2738 8.0331
-1.0145 5.9296 5.1615
2.9844 2.2310 7.7817
4.9146 9.1473 8.1101
2.4248 7.7549 4.1733
0.9955 0.5871 6.6940
1.0727 1.5425 1.8756
1.5812 2.8998 5.4413
8.7473 3.2193 7.0985
6.9974 1.1725 6.2245
3.8014 5.6622 3.0255
7.1105 6.5515 9.9144
-1.0381 6.6472 8.3909
8.8126 3.3195 4.5488
6.0407 3.5395 4.2887
3.2792 7.0836 6.7315
1.8869 8.4616 8.3753
2.3713 0.9369 4.2112
9.1709 5.7334 3.4451
3.6504 9.4903 5.6245
1.5540 5.9331 8.1155
7.2410 3.1541 9.2971
3.6158 -0.0996 6.4130
8.2967 8.1759 4.5312
-0.4221 4.2885 7.0246
2.9119 3.2622 3.0362
7.7649 8.8770 8.7545
4.1608 4.6354 5.6439
4.3736 6.9348 9.6908
5.0037 7.1713 4.9214
2.2379 7.4543 11.0025
7.4313 5.6401 5.2675
7.5931 0.9538 5.4624
7.1216 5.1272 6.0474
7.2928 2.7142 2.0961
5.6613 6.0036 2.9772
5.1703 10.0956 8.0749
1.7466 3.3736 8.7999
0.2113 4.6197 3.0019
-0.7078 7.1120 7.5896
1.8735 0.1033 4.0796
6.8036 6.8334 7.1948
0.8163 3.1444 6.0080
5.8550 6.6740 4.9260
1.6866 4.5711 5.1829
3.2953 -0.8460 5.8543
5.5317 9.1912 11.3354
0.6711 6.4265 10.7448
2.5767 1.4392 6.0908
1.3569 2.3538 3.5499
7.5650 4.5189 3.7213
8.9979 6.6577 5.3417
4.9060 8.2959 6.4304
7.1844 2.3084 7.6361
5.3936 0.3297 6.2534
0.5511 6.8343 4.6211
-2.8408 6.1830 8.5633
3.4736 6.1616 4.8224
-0.0173 5.0637 8.7320
5.9384 7.8203 9.1669
1.8736 7.2662 7.4072
0.7032 -0.7455 7.4144
9.6051 3.5541 5.8676
-1.5138 4.7550 6.0182
7.2712 9.3286 4.5935
5.1763 3.4827 5.5657
3.5285 6.5912 10.9260
3.4061 4.4278 2.1673
4.1893 5.1111 8.0734
8.9426 5.0358 8.7391
4.6207 1.5142 3.0622
-2.7333 7.6824 5.1114
```

Entry 3:
This record from Materials Project describes crystalline Ca3Y2N4 at its relaxed geometry. The functional is GGA-PBE.

Output
V: 17.18 Å³/atom
E above lowest polymorph: 0 meV per atom
M_tot: 0.00 μB/f.u.
DFT formation energy: -1.191 eV/atom
Density: 3.80 g/cm3

The structure in POSCAR format:
```
Ca3Y2N4
1.0
6.6240 -0.2383 0.0334
-5.2628 6.7253 0.0000
-0.0385 -0.0301 7.1432
N Y Ca
8 4 6
Cartesian
4.7968 -0.0458 2.9155
1.0895 4.6520 6.4871
-1.1616 3.3821 4.0516
-3.4742 6.5027 4.2611
2.4842 3.0748 3.1250
-2.2399 4.7998 0.4800
3.5625 1.6571 6.6966
0.2332 1.8048 0.6895
-2.2433 5.1789 2.7819
2.1170 3.1691 0.8231
-0.7944 3.2877 6.3535
3.5659 1.2780 4.3947
0.5044 1.5176 3.2360
-0.2525 6.3472 0.3691
0.8183 4.9393 3.9406
1.5751 0.1097 6.8075
-3.4558 4.3566 5.3574
-1.8455 2.3385 1.7858
```

Entry 4:
This record from Materials Project describes crystalline Sc2AlIr at its relaxed geometry. The functional is GGA-PBE.

Output
V: 17.99 Å³/atom
M_tot: 0.00 μB/f.u.
DFT formation energy: -0.737 eV/atom
Density: 7.13 g/cm3

The structure in POSCAR format:
```
Sc2AlIr
1.0
0.0000 3.3010 3.3010
3.3010 0.0000 3.3010
3.3010 3.3010 0.0000
Al Ir Sc
1 1 2
Cartesian
3.3010 3.3010 3.3010
0.0000 0.0000 0.0000
4.9516 4.9516 4.9516
1.6505 1.6505 1.6505
```

Entry 5:
This record from Materials Project describes crystalline NaTiSe4 at its relaxed geometry. The functional is GGA-PBE.

Output
V: 25.53 Å³/atom
DFT formation energy: -1.176 eV/atom
Density: 4.19 g/cm3

The structure in POSCAR format:
```
NaTiSe4
1.0
-7.2126 0.7941 1.5295
-0.6987 -12.6824 3.2895
2.6484 -0.7035 12.8541
Ti Na Se
8 8 32
Cartesian
-2.8926 -2.8209 13.0262
-1.4517 -9.3312 7.7719
-5.4502 -2.8743 3.5409
-0.3387 -10.2005 10.9238
-2.3703 -9.7709 4.6468
-4.9242 -2.3913 6.7492
-3.8112 -3.2606 9.9012
0.1873 -9.7176 14.1321
-5.5382 -11.0730 8.9815
-3.2577 -11.5300 15.2057
0.1140 -6.1683 9.7138
-5.3768 -6.4235 7.9593
-2.0052 -1.0618 2.4673
-2.8432 -6.9084 14.1298
-2.4197 -5.6834 3.5433
0.2753 -1.5188 8.6916
-0.7495 -1.4562 12.5546
-0.9244 -11.1891 6.0291
-2.5651 -3.3246 7.6137
-5.9888 -3.6825 8.9834
-1.2349 -3.3511 11.1426
-5.2065 -9.3169 13.4882
0.8352 -11.9159 15.3845
-4.1426 -4.9197 12.0835
-4.6246 -4.6607 5.4779
-4.5134 -11.1356 5.1184
-0.4185 -9.3122 2.8682
-2.9275 -5.6708 10.1444
-1.9850 -11.3994 9.2747
-3.2779 -1.1924 8.3984
-1.3155 -4.4029 14.7003
-1.1203 -7.6721 5.5895
-6.0980 -0.6759 2.2886
0.4718 -1.3847 5.5878
-3.9474 -8.1889 2.9728
-4.3385 -1.4027 11.6440
1.3800 -7.5360 13.4486
0.7259 -8.9093 8.6896
-3.8936 -1.2458 4.8418
-4.8444 -3.2796 14.8049
-6.6429 -5.0558 4.2244
-4.0280 -9.2407 6.5304
-1.3693 -11.3461 12.8313
-5.7347 -11.2071 12.0853
-2.3354 -6.9210 7.5287
-0.6383 -7.9312 12.1951
-2.6978 -9.2673 10.0594
-0.0564 -3.2749 4.1849
```

Entry 6:
This record from Materials Project describes crystalline K4Sr2SnAs4 at its relaxed geometry. The functional is GGA-PBE.

Output
V: 34.16 Å³/atom
E above lowest polymorph: 12 meV per atom
M_tot: 0.00 μB/f.u.
DFT formation energy: -0.666 eV/atom
Density: 3.31 g/cm3

The structure in POSCAR format:
```
K4Sr2SnAs4
1.0
9.1086 5.3161 0.0000
-9.1086 5.3161 0.0000
0.0000 0.3520 7.7598
K Sn As Sr
8 2 8 4
Cartesian
-4.3094 7.7205 2.9579
4.3094 7.8965 6.8378
6.4800 5.3380 1.5038
1.3129 8.4401 1.4031
1.3484 2.3133 1.6377
-1.3484 2.4893 5.5176
-6.4800 5.5139 5.3837
-1.3129 8.6161 5.2830
3.0283 5.4691 3.8580
-3.0283 5.6451 7.7379
2.9349 5.3082 1.1741
-1.7102 3.2152 1.0467
-5.5355 5.3767 0.8436
-1.7065 7.4966 0.7155
1.7065 7.6726 4.5954
5.5355 5.5527 4.7235
-2.9349 5.4842 5.0540
1.7102 3.3911 4.9266
-4.2744 3.2722 2.9677
-0.4789 5.4825 2.9520
4.2744 3.4482 6.8476
0.4789 5.6584 6.8318
```

Entry 7:
This record from Materials Project describes crystalline BaAs2Pd2 at its relaxed geometry. The functional is GGA-PBE.

Output
V: 21.71 Å³/atom
DFT formation energy: -0.783 eV/atom
Density: 7.65 g/cm3

The structure in POSCAR format:
```
BaAs2Pd2
1.0
-8.7809 -2.7302 6.0514
-10.7181 1.7107 1.8362
9.0199 -1.8046 -6.0467
As Pd Ba
4 4 2
Cartesian
-4.7553 -2.5223 1.9742
-1.3012 -0.0680 0.5264
-5.7239 -0.3018 -0.1334
-18.1978 -0.9514 7.3612
0.1195 -2.2674 0.0024
-0.8491 -0.0469 -2.1053
-15.7429 -0.8231 6.3681
-3.7561 -0.1964 1.5194
-7.3411 -0.3838 2.9695
-12.1579 -0.6357 4.9180
```

Entry 8:
This record from Materials Project describes crystalline Lu6Cu23 at its relaxed geometry. The functional is GGA-PBE.

Output
V: 14.65 Å³/atom
M_tot: 0.01 μB/f.u.
DFT formation energy: -0.215 eV/atom
Density: 9.81 g/cm3

The structure in POSCAR format:
```
Lu6Cu23
1.0
0.0000 5.9673 5.9673
5.9673 0.0000 5.9673
5.9673 5.9673 0.0000
Cu Lu
23 6
Cartesian
10.4868 7.4150 7.4150
2.9836 2.9836 5.9673
0.0000 2.9836 2.9836
2.9836 2.9836 0.0000
1.4477 1.4477 1.4477
4.5195 1.4477 4.5195
8.0213 9.8805 9.8805
10.4868 10.4868 10.4868
7.4150 7.4150 10.4868
8.0213 8.0213 8.0213
3.9132 2.0541 2.0541
0.0000 0.0000 0.0000
3.9132 3.9132 3.9132
2.0541 3.9132 2.0541
2.9836 0.0000 2.9836
2.0541 2.0541 3.9132
9.8805 8.0213 9.8805
9.8805 9.8805 8.0213
7.4150 10.4868 7.4150
1.4477 4.5195 4.5195
5.9673 2.9836 2.9836
2.9836 5.9673 2.9836
4.5195 4.5195 1.4477
5.9673 3.4382 5.9673
8.4963 5.9673 5.9673
3.4382 5.9673 5.9673
5.9673 8.4963 5.9673
5.9673 5.9673 3.4382
5.9673 5.9673 8.4963
```

Entry 9:
This record from Materials Project describes crystalline SmCuSn at its relaxed geometry. The functional is GGA-PBE.

Output
V: 22.89 Å³/atom
M_tot: 0.00 μB/f.u.
DFT formation energy: -0.574 eV/atom
Density: 8.04 g/cm3

The structure in POSCAR format:
```
SmCuSn
1.0
-2.0241 3.9014 1.1888
3.0576 -0.0427 -3.3735
-5.5857 -1.3605 -5.0455
Sn Cu Sm
2 2 2
Cartesian
-4.5195 1.5663 -4.1161
-0.0327 0.9319 -3.1141
-2.8256 0.2516 -5.6368
-1.7266 2.2466 -1.5933
-2.7929 -0.6803 -2.5227
0.0000 0.0000 0.0000
```

Entry 10:
This record from Materials Project describes crystalline Sr4In13Au9 at its relaxed geometry. The functional is GGA-PBE.

Output
V: 25.13 Å³/atom
DFT formation energy: -0.459 eV/atom
Density: 9.19 g/cm3

The structure in POSCAR format:
```
Sr4In13Au9
1.0
6.4725 -11.2108 0.0000
6.4725 11.2108 0.0000
0.0000 0.0000 4.5020
In Sr Au
13 4 9
Cartesian
6.4725 -0.7295 2.2510
1.6140 -0.9318 2.2510
4.1165 -0.5437 0.0000
4.8852 -7.3739 0.0000
6.4725 -9.3471 2.2510
8.0599 -7.3739 0.0000
11.3311 -0.9318 2.2510
3.8680 -5.2406 2.2510
6.4725 3.7369 0.0000
2.5291 -3.2931 0.0000
10.4159 -3.2931 0.0000
8.8286 -0.5437 0.0000
9.0771 -5.2406 2.2510
8.9420 2.3112 2.2510
6.4725 -3.7369 0.0000
4.0031 2.3112 2.2510
6.4725 6.5884 2.2510
8.7789 -2.4054 2.2510
11.2428 0.9828 0.0000
1.7023 0.9828 0.0000
4.1339 5.0871 0.0000
6.4725 1.0365 0.0000
6.4725 9.2452 0.0000
8.8112 5.0871 0.0000
6.4725 -6.4000 2.2510
4.1662 -2.4054 2.2510
```